! Li9Mn2Co5O16, relaxed, DFT PBE with a Hubbard U; values from VASP
&SYSTEM
  ibrav = 0, nat = 32, ntyp = 4
/
ATOMIC_SPECIES
Li 6.94 Li.upf
Mn 54.94 Mn.upf
Co 58.93 Co.upf
O 16.00 O.upf
ATOMIC_POSITIONS crystal
Li 0.0000 0.0000 0.0000
Li 0.0002 0.4965 0.0030
Li 0.0066 0.7443 0.7442
Li 0.4770 0.7534 0.0005
Li 0.4871 0.7482 0.5153
Li 0.4961 0.2483 0.0029
Li 0.5072 0.2454 0.5001
Li 0.9732 0.5095 0.5121
Li 0.9943 0.9995 0.5070
Mn 0.4786 0.5042 0.7543
Mn 0.4906 0.5000 0.2551
Co 0.0016 0.2476 0.2549
Co 0.4933 0.9987 0.2534
Co 0.5055 0.9906 0.7547
Co 0.9819 0.2492 0.7579
Co 0.9837 0.7511 0.2536
O 0.0049 0.1248 0.3724
O 0.0347 0.3706 0.1371
O 0.0423 0.8879 0.6395
O 0.4513 0.3706 0.8671
O 0.4718 0.6256 0.1393
O 0.4883 0.6123 0.6363
O 0.4915 0.1228 0.1394
O 0.4968 0.8767 0.3682
O 0.4973 0.8909 0.8690
O 0.5126 0.3715 0.3680
O 0.5237 0.1251 0.6472
O 0.9444 0.6294 0.3719
O 0.9642 0.1233 0.8659
O 0.9702 0.3814 0.6505
O 0.9821 0.8730 0.1347
O 0.9907 0.6072 0.8632
CELL_PARAMETERS angstrom
2.9916 0.0000 0.0000
-0.2810 10.0054 0.0000
-0.1907 -2.9658 9.6667
! * energy of formation: -57.65 eV/f.u.
! * total magnetization: 11.0 μB per cell
! * energy: -0.2128 Ha/atom
! * ΔE to the lowest computed polymorph: 1.45 kcal/mol of atoms